Material: Cs4Ni3F10
Method: DFT, PBE+U
State: optimized geometry

Cell and atoms, written as POSCAR:
```
Cs4Ni3F10
1.0
3.1180 -7.3102 0.0000
3.1180 7.3102 0.0000
0.0000 0.0000 13.9314
Cs Ni F
8 6 20
direct
0.0472 0.9528 0.8610
0.2461 0.7539 0.6129
0.2539 0.7461 0.1129
0.4528 0.5472 0.3610
0.5472 0.4528 0.6390
0.7461 0.2539 0.8871
0.7539 0.2461 0.3871
0.9528 0.0472 0.1390
0.0000 0.0000 0.5000
0.1172 0.8828 0.3457
0.3828 0.6172 0.8457
0.5000 0.5000 0.0000
0.6172 0.3828 0.1543
0.8828 0.1172 0.6543
0.0267 0.9733 0.6435
0.1141 0.3113 0.5391
0.1387 0.3613 0.7500
0.1887 0.3859 0.9609
0.2486 0.7514 0.8491
0.2514 0.7486 0.3491
0.3113 0.1141 0.4609
0.3613 0.1387 0.2500
0.3859 0.1887 0.0391
0.4733 0.5267 0.1435
0.5267 0.4733 0.8565
0.6141 0.8113 0.9609
0.6387 0.8613 0.7500
0.6887 0.8859 0.5391
0.7486 0.2514 0.6509
0.7514 0.2486 0.1509
0.8113 0.6141 0.0391
0.8613 0.6387 0.2500
0.8859 0.6887 0.4609
0.9733 0.0267 0.3565
```

Computed properties:
Symmetry: Cmce (64)
E_tot, eV/atom: -4.28
Corrected total energy (MP2020 scheme), eV for the cell shown: -170.138
Formation enthalpy at 0 K, eV per atom: -2.65